Here is a relaxed Ca12FeCo7O24 crystal from Materials Project. Energies are from PBE with a Hubbard U.

Values from the calculation:
- Mass density: 4293 kg/m3
- ΔH_f (0 K): -2.417 eV/atom

Geometry as POSCAR:
```
Ca12FeCo7O24
1.0
9.232 0.000 0.000
0.000 6.372 0.000
0.000 0.547 8.766
Ca Fe Co O
12 1 7 24
Cartesian
6.336 4.199 2.757
1.677 4.456 7.150
1.677 2.463 1.616
6.336 2.719 6.009
1.198 0.273 4.383
5.848 0.000 0.000
7.554 1.005 2.777
2.903 1.287 7.136
8.030 3.186 0.000
3.379 3.459 4.383
2.903 5.632 1.630
7.554 5.913 5.989
0.001 0.000 0.000
9.232 4.916 2.192
4.616 5.188 6.573
9.232 2.002 6.574
4.616 1.730 2.193
4.596 0.273 4.383
0.000 3.459 4.383
4.639 3.186 0.000
0.915 4.568 0.517
5.542 4.840 4.864
0.597 0.381 1.956
5.248 0.698 6.314
7.723 5.442 1.091
3.058 5.731 5.415
8.328 1.663 4.896
3.692 1.381 0.482
6.177 2.273 1.036
1.497 2.539 5.469
3.982 3.609 1.933
8.633 3.832 6.323
8.328 5.255 3.870
3.692 5.537 8.284
8.633 3.086 2.443
3.982 3.309 6.833
1.497 4.379 3.297
6.177 4.645 7.730
0.915 2.350 8.249
5.542 2.078 3.902
3.058 1.188 3.351
7.723 1.476 7.675
5.248 6.221 2.452
0.597 6.537 6.810
```